Entry 1:
Material: Cu5Se4Cl2O12
Method: DFT, PBE-GGA
State: relaxed

Unit cell a=11.046 b=8.450 c=7.614 alpha=90.00 beta=90.79 gamma=90.00
Space group P2_1/c (No. 14)
Unique sites:
Cu  0.000  0.000  0.000
Cu  0.131  0.132  0.660
Cu  0.361  0.507  0.922
Se  0.125  0.688  0.830
Se  0.320  0.097  0.004
Cl  0.463  0.616  0.155
O  0.001  0.733  0.453
O  0.021  0.538  0.755
O  0.198  0.030  0.878
O  0.202  0.596  0.998
O  0.279  0.211  0.563
O  0.287  0.514  0.688

## Properties
ΔE_f (eV/atom): -1.024
Energy with MP2020 corrections (eV for the cell shown): -242.21

---

Entry 2:
Material: LiLaMg14
Method: DFT, PBE-GGA
State: relaxed

Unit cell a=6.6073 b=6.6073 c=10.2833 alpha=90.00 beta=90.00 gamma=120.00
Space group P-6m2 (No. 187)
Unique sites:
Li  0.0000  0.0000  0.0000
La  0.0000  0.0000  0.5000
Mg  0.0005  0.5002  0.0000
Mg  0.0098  0.5049  0.5000
Mg  0.1683  0.3367  0.2432
Mg  0.6667  0.3333  0.2548

## Properties
ΔE_f (eV/atom): 0.013
Total moment (μB/cell): 0.0

---

Entry 3:
Material: CdCuP2O7
Method: DFT, PBE-GGA
State: relaxed

Unit cell a=6.947 b=8.716 c=4.618 alpha=90.00 beta=106.66 gamma=90.00
Space group C2 (No. 5)
Unique sites:
Cd  0.000  0.000  0.000
Cu  0.000  0.617  0.000
P  0.205  0.314  0.410
O  0.000  0.320  0.500
O  0.128  0.800  0.287
O  0.212  0.467  0.242
O  0.213  0.175  0.218

## Properties
ΔE_f (eV/atom): -2.144
Total moment (μB/cell): 2.0
Energy with MP2020 corrections (eV for the cell shown): -148.15

---

Entry 4:
Material: Sm2AgGe6
Method: DFT, PBE-GGA
State: relaxed

Unit cell a=4.175 b=4.157 c=22.329 alpha=90.00 beta=90.00 gamma=90.00
Space group Amm2 (No. 38)
Unique sites:
Sm  0.000  0.000  0.000
Sm  0.000  0.000  0.341
Ag  0.500  0.000  0.781
Ge  0.000  0.000  0.601
Ge  0.000  0.000  0.713
Ge  0.500  0.000  0.100
Ge  0.500  0.000  0.212
Ge  0.500  0.000  0.461
Ge  0.500  0.000  0.893

## Properties
ΔE_f (eV/atom): -0.341
Total moment (μB/cell): 0.0

---

Entry 5:
Material: BaNaP3H6O12
Method: DFT, PBE-GGA
State: relaxed

Unit cell a=7.119 b=9.121 c=10.081 alpha=63.89 beta=84.67 gamma=74.70
Space group P-1 (No. 2)
Unique sites:
Ba  0.043  0.237  0.307
Na  0.219  0.369  0.630
P  0.143  0.692  0.082
P  0.199  0.774  0.322
P  0.456  0.473  0.300
H  0.231  0.310  0.979
H  0.263  0.983  0.853
H  0.292  0.007  0.640
H  0.344  0.903  0.543
H  0.400  0.344  0.039
H  0.474  0.009  0.814
O  0.007  0.407  0.843
O  0.056  0.691  0.429
O  0.139  0.788  0.918
O  0.141  0.821  0.153
O  0.237  0.976  0.571
O  0.246  0.925  0.319
O  0.314  0.267  0.068
O  0.328  0.569  0.710
O  0.336  0.061  0.781
O  0.352  0.341  0.397
O  0.363  0.566  0.132
O  0.405  0.631  0.345

## Properties
ΔE_f (eV/atom): -2.226
Total moment (μB/cell): 0.0
Energy with MP2020 corrections (eV for the cell shown): -300.84

---

Entry 6:
Material: CeGe5
Method: DFT, PBE-GGA
State: relaxed

Unit cell a=4.003 b=6.172 c=9.861 alpha=90.00 beta=90.00 gamma=90.00
Space group Immm (No. 71)
Unique sites:
Ce  0.000  0.000  0.000
Ge  0.000  0.209  0.331
Ge  0.000  0.500  0.000

## Properties
ΔE_f (eV/atom): -0.297

---

Entry 7:
Material: ZnCu4O6
Method: DFT, PBE-GGA
State: relaxed

Unit cell a=2.940 b=9.827 c=14.788 alpha=90.00 beta=90.00 gamma=90.00
Space group Cmcm (No. 63)
Unique sites:
Zn  0.000  0.160  0.250
Cu  0.000  0.094  0.635
Cu  0.000  0.362  0.544
O  0.000  0.000  0.000
O  0.000  0.198  0.750
O  0.000  0.285  0.077
O  0.000  0.452  0.659

## Properties
ΔE_f (eV/atom): -0.950
Total moment (μB/cell): 0.0
Energy with MP2020 corrections (eV for the cell shown): -231.19

---

Entry 8:
Material: HoGaO3
Method: DFT, PBE-GGA
State: relaxed

Unit cell a=6.0937 b=6.0937 c=11.7142 alpha=90.00 beta=90.00 gamma=120.00
Space group P6_3cm (No. 185)
Unique sites:
Ho  0.0000  0.0000  0.0000
Ho  0.3333  0.6667  0.4581
Ga  0.0000  0.3341  0.2254
O  0.0000  0.0000  0.2029
O  0.0000  0.3069  0.3886
O  0.0000  0.3592  0.0635
O  0.3333  0.6667  0.2454

## Properties
ΔE_f (eV/atom): -3.171
Energy with MP2020 corrections (eV for the cell shown): -229.87